## VO2 (PBE with a Hubbard U)

Data for VO2 after structural relaxation.

abc: 5.4457 5.4457 4.6185
angles: 89.15 89.15 65.92
Atoms (fractional coordinates):
O (0.4007, 0.8986, 0.6958)
O (0.9016, 0.9016, 0.8085)
O (0.8986, 0.4007, 0.6958)
O (0.0984, 0.0984, 0.1915)
O (0.5993, 0.1014, 0.3042)
O (0.6027, 0.6027, 0.1998)
O (0.3973, 0.3973, 0.8002)
O (0.1014, 0.5993, 0.3042)
V (0.2347, 0.2347, 0.4755)
V (0.7314, 0.2686, 0.0000)
V (0.2686, 0.7314, 0.0000)
V (0.7653, 0.7653, 0.5245)

Results
For the total energy, the calculation gives -23.27 eV/f.u. The space group is C2/m (12).

## V2O5 (PBE with a Hubbard U)

Data for V2O5 after structural relaxation.

abc: 3.6144 6.3750 7.3031
angles: 89.80 90.00 90.00
Atoms (fractional coordinates):
V (0.7500, 0.2618, 0.7223)
V (0.7500, 0.8081, 0.9025)
V (0.2500, 0.7382, 0.2777)
V (0.2500, 0.1919, 0.0975)
O (0.7500, 0.3205, 0.5094)
O (0.7500, 0.9648, 0.7042)
O (0.2500, 0.0352, 0.2958)
O (0.7500, 0.7387, 0.1933)
O (0.2500, 0.6795, 0.4906)
O (0.7500, 0.1445, 0.0309)
O (0.2500, 0.4379, 0.1768)
O (0.2500, 0.8555, 0.9691)
O (0.7500, 0.5621, 0.8232)
O (0.2500, 0.2613, 0.8067)

Results
For the total energy, the calculation gives -51.89 eV/f.u. The space group is P2_1/m (11).

## V4O7 (PBE with a Hubbard U)

Data for V4O7 after structural relaxation.

abc: 6.2628 5.8692 8.4270
angles: 78.77 83.50 85.72
Atoms (fractional coordinates):
O (0.2306, 0.5961, 0.7094)
O (0.8614, 0.7213, 0.9351)
O (0.1081, 0.5204, 0.3667)
O (0.1386, 0.2787, 0.0649)
O (0.3469, 0.1653, 0.3927)
O (0.6531, 0.8347, 0.6073)
O (0.4196, 0.1963, 0.7403)
O (0.5724, 0.2972, 0.0768)
O (0.4276, 0.7028, 0.9232)
O (0.8954, 0.9910, 0.3337)
O (0.5804, 0.8037, 0.2597)
O (0.7694, 0.4039, 0.2906)
O (0.1046, 0.0090, 0.6663)
O (0.8919, 0.4796, 0.6333)
V (0.3921, 0.8843, 0.7166)
V (0.6327, 0.6184, 0.0926)
V (0.1946, 0.3438, 0.5815)
V (0.8054, 0.6562, 0.4185)
V (0.3673, 0.3816, 0.9074)
V (0.0674, 0.2600, 0.2726)
V (0.9326, 0.7400, 0.7274)
V (0.6079, 0.1157, 0.2834)

Results
For the total energy, the calculation gives -85.22 eV/f.u. The space group is P-1 (2).

## V2O5 (PBE with a Hubbard U)

Data for V2O5 after structural relaxation.

abc: 12.1526 11.9503 12.5622
angles: 88.91 89.28 84.54
Atoms (fractional coordinates):
O (0.7277, 0.4061, 0.9486)
O (0.4217, 0.6365, 0.2894)
O (0.2773, 0.2295, 0.0145)
O (0.0761, 0.9419, 0.5052)
O (0.3924, 0.4104, 0.9536)
O (0.3989, 0.4447, 0.1618)
O (0.1180, 0.3404, 0.2900)
O (0.7544, 0.0825, 0.2304)
O (0.4072, 0.8246, 0.0145)
O (0.9653, 0.1889, 0.2116)
O (0.8902, 0.7262, 0.7114)
O (0.0110, 0.1960, 0.4230)
O (0.1633, 0.8239, 0.2281)
O (0.2230, 0.3203, 0.0559)
O (0.0603, 0.9177, 0.0340)
O (0.0864, 0.7191, 0.4954)
O (0.8775, 0.0559, 0.0347)
O (0.3199, 0.4573, 0.3584)
O (0.6402, 0.0724, 0.0610)
O (0.2708, 0.8148, 0.4270)
O (0.4597, 0.4168, 0.6201)
O (0.9668, 0.1547, 0.6755)
O (0.9922, 0.7810, 0.8966)
O (0.5431, 0.1718, 0.2729)
O (0.2576, 0.4548, 0.7825)
O (0.6321, 0.0267, 0.8487)
O (0.8469, 0.0654, 0.4667)
O (0.7937, 0.2193, 0.8108)
O (0.9065, 0.5968, 0.4708)
O (0.2155, 0.5422, 0.9878)
O (0.6596, 0.6159, 0.6909)
O (0.5895, 0.4855, 0.2339)
O (0.7027, 0.2955, 0.1778)
O (0.4104, 0.0225, 0.3392)
O (0.8157, 0.5889, 0.1014)
O (0.2565, 0.7225, 0.6306)
O (0.2253, 0.6777, 0.8462)
O (0.6228, 0.0434, 0.4470)
O (0.4412, 0.5692, 0.7968)
O (0.2593, 0.9076, 0.8598)
O (0.5747, 0.2470, 0.8723)
O (0.9652, 0.9618, 0.2187)
O (0.6080, 0.2458, 0.5618)
O (0.6415, 0.4077, 0.7356)
O (0.1382, 0.0514, 0.2698)
O (0.9147, 0.7079, 0.2656)
O (0.8992, 0.9390, 0.6512)
O (0.2289, 0.1700, 0.3862)
O (0.8565, 0.8234, 0.0640)
O (0.8606, 0.4942, 0.7136)
O (0.4239, 0.0502, 0.9508)
O (0.4098, 0.2449, 0.4550)
O (0.2744, 0.9305, 0.6244)
O (0.0321, 0.5542, 0.8728)
O (0.4815, 0.6225, 0.5855)
O (0.7196, 0.2448, 0.3946)
O (0.9082, 0.9690, 0.8430)
O (0.1497, 0.4163, 0.4953)
O (0.4231, 0.8103, 0.7352)
O (0.7268, 0.0936, 0.6440)
O (0.3439, 0.2407, 0.2203)
O (0.5492, 0.4158, 0.4073)
O (0.6566, 0.8804, 0.6873)
O (0.0929, 0.8356, 0.7184)
O (0.7897, 0.4448, 0.3190)
O (0.5069, 0.2376, 0.0698)
O (0.0321, 0.6576, 0.0751)
O (0.4759, 0.0356, 0.6751)
O (0.7734, 0.6249, 0.8811)
O (0.4839, 0.8684, 0.5128)
O (0.2437, 0.9810, 0.0851)
O (0.0886, 0.5756, 0.3397)
O (0.5871, 0.8604, 0.3106)
O (0.9020, 0.8289, 0.4474)
O (0.5994, 0.5967, 0.0154)
V (0.5293, 0.5423, 0.6824)
V (0.1711, 0.4476, 0.3722)
V (0.7121, 0.1398, 0.4879)
V (0.3151, 0.5289, 0.8666)
V (0.3819, 0.3385, 0.0731)
V (0.6878, 0.3211, 0.8374)
V (0.0833, 0.1977, 0.3153)
V (0.2545, 0.8021, 0.7524)
V (0.4990, 0.3331, 0.5140)
V (0.3337, 0.9380, 0.9776)
V (0.8871, 0.0799, 0.1780)
V (0.5267, 0.9446, 0.3961)
V (0.4170, 0.9099, 0.6362)
V (0.7252, 0.5481, 0.9924)
V (0.9031, 0.6926, 0.1310)
V (0.9342, 0.9438, 0.5119)
V (0.1304, 0.9465, 0.1756)
V (0.1866, 0.8137, 0.5264)
V (0.9840, 0.6745, 0.4037)
V (0.7956, 0.6146, 0.7390)
V (0.6217, 0.0122, 0.7129)
V (0.5462, 0.1203, 0.9541)
V (0.6287, 0.1740, 0.1693)
V (0.1040, 0.6342, 0.9397)
V (0.9615, 0.8335, 0.7644)
V (0.6805, 0.3821, 0.3000)
V (0.4442, 0.5023, 0.2907)
V (0.9321, 0.9214, 0.9853)
V (0.3596, 0.1732, 0.3385)
V (0.8667, 0.0934, 0.7288)

Results
For the total energy, the calculation gives -51.34 eV/f.u. The space group is P1 (1).

## VO2 (PBE with a Hubbard U)

Data for VO2 after structural relaxation.

abc: 10.2305 11.7825 11.3742
angles: 90.11 85.77 93.18
Atoms (fractional coordinates):
V (0.0646, 0.4800, 0.5603)
V (0.7452, 0.4958, 0.4195)
V (0.7974, 0.1181, 0.1175)
V (0.0721, 0.8413, 0.9047)
V (0.3116, 0.0862, 0.7224)
V (0.4246, 0.8839, 0.4979)
V (0.9459, 0.1727, 0.4561)
V (0.0451, 0.4176, 0.3094)
V (0.5065, 0.2664, 0.4852)
V (0.4130, 0.5805, 0.4709)
V (0.5913, 0.0303, 0.6516)
V (0.1578, 0.0967, 0.0151)
V (0.2449, 0.2970, 0.5220)
V (0.6205, 0.5952, 0.6518)
V (0.9030, 0.0404, 0.7489)
V (0.6363, 0.9825, 0.2798)
V (0.9617, 0.6583, 0.2388)
V (0.5950, 0.2047, 0.8668)
V (0.6218, 0.9764, 0.9523)
V (0.3188, 0.2727, 0.2244)
V (0.9554, 0.9366, 0.3025)
V (0.2699, 0.5511, 0.1937)
V (0.5338, 0.4400, 0.9088)
V (0.9676, 0.2817, 0.9294)
V (0.7854, 0.8102, 0.8003)
V (0.8184, 0.4404, 0.0974)
V (0.3169, 0.5930, 0.9245)
V (0.8008, 0.9094, 0.5318)
V (0.2971, 0.4902, 0.6906)
V (0.9925, 0.5774, 0.8481)
V (0.8213, 0.3615, 0.6887)
V (0.5452, 0.4874, 0.1684)
V (0.0952, 0.8945, 0.6116)
V (0.6912, 0.7473, 0.1030)
O (0.1271, 0.8162, 0.7350)
O (0.6760, 0.3355, 0.7986)
O (0.8417, 0.2854, 0.0799)
O (0.7115, 0.1308, 0.9536)
O (0.0266, 0.8193, 0.2370)
O (0.0913, 0.1886, 0.5126)
O (0.4948, 0.1404, 0.7610)
O (0.9420, 0.4834, 0.4465)
O (0.2041, 0.3931, 0.2003)
O (0.9219, 0.9233, 0.8727)
O (0.2199, 0.5742, 0.5602)
O (0.7312, 0.4818, 0.6088)
O (0.8374, 0.6827, 0.1133)
O (0.9218, 0.4430, 0.9408)
O (0.6967, 0.7284, 0.6692)
O (0.4848, 0.2909, 0.9505)
O (0.4775, 0.3429, 0.1846)
O (0.3977, 0.7090, 0.8801)
O (0.9777, 0.1413, 0.0060)
O (0.5825, 0.1460, 0.5355)
O (0.6391, 0.0219, 0.1180)
O (0.9694, 0.8754, 0.4647)
O (0.3292, 0.1928, 0.6026)
O (0.1436, 0.9373, 0.0044)
O (0.8604, 0.2852, 0.5646)
O (0.3565, 0.2455, 0.3793)
O (0.0361, 0.0616, 0.3343)
O (0.4084, 0.5486, 0.2927)
O (0.8998, 0.8815, 0.6672)
O (0.1624, 0.3981, 0.4301)
O (0.9513, 0.4953, 0.1827)
O (0.6072, 0.5498, 0.8029)
O (0.6844, 0.8198, 0.9604)
O (0.3946, 0.4056, 0.5443)
O (0.6649, 0.4613, 0.0269)
O (0.1256, 0.3104, 0.9204)
O (0.8716, 0.6687, 0.8198)
O (0.6986, 0.9759, 0.7809)
O (0.7341, 0.1440, 0.2591)
O (0.4176, 0.5009, 0.0314)
O (0.9570, 0.4844, 0.7001)
O (0.9617, 0.2832, 0.3289)
O (0.2506, 0.1625, 0.1397)
O (0.6041, 0.5903, 0.4778)
O (0.2336, 0.6338, 0.0763)
O (0.8492, 0.6536, 0.3528)
O (0.1610, 0.3764, 0.6510)
O (0.7004, 0.4766, 0.2453)
O (0.8854, 0.0000, 0.1584)
O (0.1746, 0.5639, 0.8128)
O (0.9133, 0.2276, 0.7901)
O (0.4113, 0.9653, 0.6508)
O (0.4191, 0.7482, 0.4520)
O (0.6351, 0.3556, 0.4345)
O (0.7869, 0.9518, 0.3670)
O (0.4405, 0.6046, 0.6472)
O (0.5668, 0.6475, 0.1207)
O (0.1127, 0.0298, 0.6760)
O (0.3768, 0.4521, 0.8180)
O (0.6210, 0.9005, 0.5415)
O (0.0529, 0.7027, 0.9553)
O (0.1212, 0.5866, 0.2945)
O (0.8428, 0.0630, 0.5753)
O (0.2404, 0.1129, 0.8597)
O (0.6561, 0.8339, 0.2220)
O (0.4644, 0.9864, 0.9461)
O (0.4850, 0.9761, 0.3600)
O (0.2313, 0.8922, 0.5134)

Results
For the total energy, the calculation gives -22.70 eV/f.u. The space group is P1 (1).

## VO2 (PBE with a Hubbard U)

Data for VO2 after structural relaxation.

abc: 3.0361 4.8136 9.1277
angles: 90.00 90.00 90.00
Atoms (fractional coordinates):
O (0.7500, 0.2898, 0.5165)
O (0.2500, 0.7898, 0.9835)
O (0.2500, 0.7102, 0.4835)
O (0.7500, 0.6214, 0.7381)
O (0.7500, 0.2102, 0.0165)
O (0.2500, 0.3786, 0.2619)
O (0.7500, 0.8786, 0.2381)
O (0.2500, 0.1214, 0.7619)
V (0.2500, 0.4253, 0.6358)
V (0.7500, 0.9253, 0.8642)
V (0.7500, 0.5747, 0.3642)
V (0.2500, 0.0747, 0.1358)

Results
For the total energy, the calculation gives -23.18 eV/f.u. The space group is Pnma (62).

## VO2 (PBE with a Hubbard U)

Data for VO2 after structural relaxation.

abc: 4.8404 6.6249 8.7124
angles: 88.10 84.34 87.84
Atoms (fractional coordinates):
O (0.2456, 0.9986, 0.8613)
O (0.2610, 0.7569, 0.1392)
O (0.2385, 0.2470, 0.1254)
O (0.7615, 0.7530, 0.8746)
O (0.3093, 0.0040, 0.3882)
O (0.7544, 0.0014, 0.1387)
O (0.6907, 0.9960, 0.6118)
O (0.7390, 0.2431, 0.8608)
V (0.6305, 0.9976, 0.7967)
V (0.9924, 0.1660, 0.9953)
V (0.0076, 0.8340, 0.0047)
V (0.3695, 0.0024, 0.2033)

Results
For the total energy, the calculation gives -21.85 eV/f.u. The space group is P-1 (2).

## V6O13 (PBE with a Hubbard U)

Data for V6O13 after structural relaxation.

abc: 6.3238 6.3238 10.2676
angles: 79.66 100.34 145.09
Atoms (fractional coordinates):
O (0.3249, 0.6751, 0.8013)
O (0.8125, 0.1875, 0.9998)
O (0.5000, 0.5000, 0.0000)
O (0.8810, 0.1190, 0.3841)
O (0.5607, 0.4393, 0.4115)
O (0.6751, 0.3249, 0.1987)
O (0.6122, 0.3878, 0.8018)
O (0.2531, 0.7469, 0.4104)
O (0.1875, 0.8125, 0.0002)
O (0.7469, 0.2531, 0.5896)
O (0.3878, 0.6122, 0.1982)
O (0.4393, 0.5607, 0.5885)
O (0.1189, 0.8810, 0.6159)
V (0.2852, 0.7148, 0.6337)
V (0.3491, 0.6509, 0.9966)
V (0.5875, 0.4125, 0.6357)
V (0.6509, 0.3491, 0.0034)
V (0.7148, 0.2852, 0.3663)
V (0.4125, 0.5875, 0.3643)

Results
For the total energy, the calculation gives -145.14 eV/f.u. The space group is C2/m (12).